Record 1
Ba2Ca3Mn4Tl2O12: relaxed, PBE with a Hubbard U.

Properties
Its MP2020-corrected energy is -7.066 eV per atom. The space-group type is No. 139. The magnetic moment comes out at 16.9 μB per cell. Its total energy is -147.6 eV per cell. Its energy relative to the elements is -51.91 eV per formula unit.

Cell: 3.9902 3.9902 22.1394 Å, 95.17 95.17 90.00°
Fractional coordinates of all 23 atoms:
O1 0.4643 0.9643 0.9285
Tl1 0.2765 0.2765 0.5529
Mn1 0.5386 0.5386 0.0772
O2 0.2231 0.2231 0.4461
Ca1 0.9213 0.9213 0.8426
O3 0.0357 0.5357 0.0715
O4 0.6630 0.6630 0.3260
O5 0.5357 0.0357 0.0715
O6 0.8919 0.3919 0.7838
Mn2 0.6170 0.6170 0.2340
O7 0.9643 0.4643 0.9285
Tl2 0.7235 0.7235 0.4471
O8 0.7769 0.7769 0.5539
Ba1 0.1634 0.1634 0.3269
Mn3 0.3830 0.3830 0.7660
Ca2 0.0000 0.0000 0.0000
Ca3 0.0787 0.0787 0.1574
O9 0.6081 0.1081 0.2162
O10 0.3919 0.8919 0.7838
O11 0.1081 0.6081 0.2162
O12 0.3370 0.3370 0.6740
Mn4 0.4614 0.4614 0.9228
Ba2 0.8366 0.8366 0.6731



Record 2
Ba2CaMoO6: relaxed, PBE with a Hubbard U.

Properties
Its MP2020-corrected energy is -7.540 eV per atom. The space-group type is No. 225. The magnetic moment comes out at 0.0 μB per cell. Its total energy is -68.1 eV per cell. Its energy relative to the elements is -29.02 eV per formula unit.

Cell: 6.0109 6.0109 6.0109 Å, 60.00 60.00 60.00°
Fractional coordinates of all 10 atoms:
O1 0.7298 0.2702 0.2702
Ca1 0.0000 0.0000 0.0000
O2 0.2702 0.7298 0.7298
O3 0.7298 0.2702 0.7298
O4 0.2702 0.2702 0.7298
Ba1 0.2500 0.2500 0.2500
Mo1 0.5000 0.5000 0.5000
Ba2 0.7500 0.7500 0.7500
O5 0.2702 0.7298 0.2702
O6 0.7298 0.7298 0.2702



Record 3
BaSr3Ca2Mo2O12: relaxed, PBE with a Hubbard U.

Properties
Its MP2020-corrected energy is -7.462 eV per atom. The space-group type is No. 160. The magnetic moment comes out at 0.0 μB per cell. Its total energy is -134.6 eV per cell. Its energy relative to the elements is -57.18 eV per formula unit.

Cell: 10.2695 10.2695 10.2695 Å, 33.56 33.56 33.56°
Fractional coordinates of all 20 atoms:
O1 0.1527 0.6157 0.6157
O2 0.6157 0.6157 0.1527
Mo1 0.4997 0.4997 0.4997
O3 0.8855 0.3462 0.8855
O4 0.1156 0.1156 0.6535
O5 0.8477 0.3832 0.3832
Ca1 0.7501 0.7501 0.7501
O6 0.3832 0.3832 0.8477
Mo2 0.0003 0.0003 0.0003
O7 0.3832 0.8477 0.3832
O8 0.6535 0.1156 0.1156
Sr1 0.3752 0.3752 0.3752
Sr2 0.1250 0.1250 0.1250
Ba1 0.6250 0.6250 0.6250
O9 0.1156 0.6535 0.1156
Sr3 0.8748 0.8748 0.8748
O10 0.3462 0.8855 0.8855
Ca2 0.2499 0.2499 0.2499
O11 0.6157 0.1527 0.6157
O12 0.8855 0.8855 0.3462



Record 4
Ba3SrCa2Mo2O12: relaxed, PBE with a Hubbard U.

Properties
Its MP2020-corrected energy is -7.513 eV per atom. The space-group type is No. 115. The magnetic moment comes out at 0.0 μB per cell. Its total energy is -135.6 eV per cell. Its energy relative to the elements is -57.73 eV per formula unit.

Cell: 5.9847 5.9847 8.4633 Å, 90.00 90.00 90.00°
Fractional coordinates of all 20 atoms:
Ba1 0.0000 0.0000 0.0000
O1 0.5000 0.0000 0.5193
O2 0.5000 0.0000 0.9795
O3 0.2708 0.7690 0.7488
Mo1 0.0000 0.5000 0.2509
O4 0.0000 0.5000 0.4807
O5 0.0000 0.5000 0.0205
Ba2 0.0000 0.0000 0.5000
O6 0.7690 0.7292 0.2512
O7 0.7292 0.2310 0.7488
O8 0.2310 0.7292 0.2512
Mo2 0.5000 0.0000 0.7491
Ca1 0.0000 0.5000 0.7495
Ba3 0.5000 0.5000 0.0000
O9 0.2708 0.2310 0.7488
O10 0.7690 0.2708 0.2512
Sr1 0.5000 0.5000 0.5000
O11 0.2310 0.2708 0.2512
Ca2 0.5000 0.0000 0.2505
O12 0.7292 0.7690 0.7488



Record 5
BaCaNi4O12: relaxed, PBE with a Hubbard U.

Properties
Its MP2020-corrected energy is -5.653 eV per atom. The space-group type is No. 123. The magnetic moment comes out at 14.5 μB per cell. Its total energy is -83.4 eV per cell. Its energy relative to the elements is -15.34 eV per formula unit.

Cell: 5.5311 5.5311 7.7504 Å, 90.00 90.00 90.00°
Fractional coordinates of all 18 atoms:
O1 0.7635 0.7635 0.7327
Ni1 0.0000 0.5000 0.7482
Ca1 0.0000 0.0000 0.5000
O2 0.2364 0.2364 0.7327
Ba1 0.5000 0.5000 0.0000
Ni2 0.5000 0.0000 0.7482
O3 0.7635 0.2364 0.2673
Ni3 0.5000 0.0000 0.2518
O4 0.5000 0.0000 0.5000
O5 0.7635 0.7635 0.2673
O6 0.2364 0.7635 0.2673
Ni4 0.0000 0.5000 0.2518
O7 0.2364 0.7635 0.7327
O8 0.7635 0.2364 0.7327
O9 0.2364 0.2364 0.2673
O10 0.0000 0.5000 0.0000
O11 0.0000 0.5000 0.5000
O12 0.5000 0.0000 0.0000



Record 6
Ba3SrCa2W2O12: relaxed, PBE with a Hubbard U.

Properties
Its MP2020-corrected energy is -7.862 eV per atom. The space-group type is No. 1. The magnetic moment comes out at 0.0 μB per cell. Its total energy is -140.1 eV per cell. Its energy relative to the elements is -60.49 eV per formula unit.

Cell: 5.9844 6.0123 10.3789 Å, 73.66 73.25 60.16°
Fractional coordinates of all 20 atoms:
O1 0.6146 0.1493 0.1571
Ba1 0.6248 0.6247 0.1257
W1 0.2493 0.2496 0.2512
O2 0.3039 0.3895 0.3827
Ca1 0.5003 0.5001 0.4995
W2 0.7507 0.7504 0.7488
O3 0.6919 0.6210 0.6138
O4 0.6361 0.0947 0.6333
O5 0.8645 0.4052 0.8645
O6 0.1124 0.6532 0.6531
O7 0.3657 0.9044 0.3656
O8 0.1895 0.1181 0.1176
Ca2 0.9997 0.9999 0.0005
O9 0.8881 0.3395 0.3473
O10 0.8109 0.8829 0.8820
Ba2 0.3747 0.3751 0.8749
O11 0.3889 0.8463 0.8464
Ba3 0.1251 0.1253 0.6243
O12 0.1337 0.5959 0.1366
Sr1 0.8753 0.8749 0.3752